VASP calculation (PBE-GGA) on crystalline NaAuI4O12 at its relaxed geometry.

Geometry as CIF:
```
data_NaAuI4O12
_symmetry_space_group_name_H-M 'P 1'
_symmetry_Int_Tables_number 1
_symmetry_space_group_name_Hall 'P 1'
_cell_length_a 11.149
_cell_length_b 4.740
_cell_length_c 12.511
_cell_angle_alpha 90.00
_cell_angle_beta 116.71
_cell_angle_gamma 90.00
loop_
_atom_site_label
_atom_site_fract_x
_atom_site_fract_y
_atom_site_fract_z
Na1 0.500 0.000 0.500
Na2 0.500 0.500 0.000
Au1 0.000 0.000 0.000
Au2 0.000 0.500 0.500
I1 0.342 0.553 0.680
I2 0.658 0.053 0.820
I3 0.658 0.447 0.320
I4 0.342 0.947 0.180
I5 0.180 0.998 0.848
I6 0.820 0.498 0.652
I7 0.820 0.002 0.152
I8 0.180 0.502 0.348
O1 0.175 0.720 0.564
O2 0.825 0.220 0.936
O3 0.825 0.280 0.436
O4 0.175 0.780 0.064
O5 0.348 0.718 0.815
O6 0.652 0.218 0.685
O7 0.652 0.282 0.185
O8 0.348 0.782 0.315
O9 0.444 0.821 0.654
O10 0.556 0.321 0.846
O11 0.556 0.179 0.346
O12 0.444 0.679 0.154
O13 0.160 0.237 0.729
O14 0.840 0.737 0.771
O15 0.840 0.763 0.271
O16 0.160 0.263 0.229
O17 0.328 0.138 0.975
O18 0.672 0.638 0.525
O19 0.672 0.862 0.025
O20 0.328 0.362 0.475
O21 0.048 0.198 0.880
O22 0.952 0.698 0.620
O23 0.952 0.802 0.120
O24 0.048 0.302 0.380
```

Values from the calculation:
Energy above the most stable polymorph in this dataset   0.000 eV per atom
Calculated density   5.17 g/cm³
Energy of formation from the pure elements   -0.90 eV per atom


VASP calculation (PBE-GGA) on crystalline Sm3Sc at its relaxed geometry.

Geometry as CIF:
```
data_Sm3Sc
_symmetry_space_group_name_H-M 'P 1'
_symmetry_Int_Tables_number 1
_symmetry_space_group_name_Hall 'P 1'
_cell_length_a 6.111
_cell_length_b 6.111
_cell_length_c 6.111
_cell_angle_alpha 131.39
_cell_angle_beta 131.39
_cell_angle_gamma 71.19
loop_
_atom_site_label
_atom_site_fract_x
_atom_site_fract_y
_atom_site_fract_z
Sm1 0.750 0.250 0.500
Sm2 0.250 0.750 0.500
Sm3 0.500 0.500 0.000
Sc1 0.000 0.000 0.000
```

Values from the calculation:
Energy above the most stable polymorph in this dataset   0.005 eV per atom
Calculated density   6.55 g/cm³
Energy of formation from the pure elements   0.04 eV per atom


VASP calculation (PBE-GGA) on crystalline DyCuPbS3 at its relaxed geometry.

Geometry as CIF:
```
data_DyCuPbS3
_symmetry_space_group_name_H-M 'P 1'
_symmetry_Int_Tables_number 1
_symmetry_space_group_name_Hall 'P 1'
_cell_length_a 6.833
_cell_length_b 6.833
_cell_length_c 10.217
_cell_angle_alpha 90.00
_cell_angle_beta 90.00
_cell_angle_gamma 146.58
loop_
_atom_site_label
_atom_site_fract_x
_atom_site_fract_y
_atom_site_fract_z
Dy1 0.997 0.003 0.498
Dy2 0.003 0.997 0.998
Cu1 0.468 0.532 0.249
Cu2 0.532 0.468 0.749
Pb1 0.748 0.252 0.222
Pb2 0.252 0.748 0.722
S1 0.362 0.638 0.433
S2 0.636 0.364 0.566
S3 0.364 0.636 0.066
S4 0.638 0.362 0.933
S5 0.074 0.926 0.250
S6 0.926 0.074 0.750
```

Values from the calculation:
Total moment   0.00 μB per formula unit
Calculated density   6.69 g/cm³
Energy of formation from the pure elements   -1.35 eV per atom